TbRe2: relaxed, PBE.

- DFT formation energy (eV per atom) = -0.196
- symmetry = P6_3/mmc, No. 194
- total DFT energy (no corrections) (eV per cell) = -120.44

Structure (CIF):
```
data_TbRe2
_chemical_formula_sum 'Tb4 Re8'
_symmetry_space_group_name_H-M 'P 1'
_symmetry_Int_Tables_number 1
_cell_length_a 5.4482
_cell_length_b 5.4482
_cell_length_c 8.8589
_cell_angle_alpha 90.00
_cell_angle_beta 90.00
_cell_angle_gamma 120.00
loop_
_symmetry_equiv_pos_as_xyz
'x,y,z'
loop_
_atom_site_label
_atom_site_fract_x
_atom_site_fract_y
_atom_site_fract_z
_atom_site_occupancy
Tb1 0.3333 0.6667 0.0626 1
Tb2 0.3333 0.6667 0.4374 1
Tb3 0.6667 0.3333 0.5626 1
Tb4 0.6667 0.3333 0.9374 1
Re1 0.0000 0.0000 0.0000 1
Re2 0.0000 0.0000 0.5000 1
Re3 0.1714 0.3427 0.7500 1
Re4 0.1714 0.8286 0.7500 1
Re5 0.3427 0.1714 0.2500 1
Re6 0.6573 0.8286 0.7500 1
Re7 0.8286 0.1714 0.2500 1
Re8 0.8286 0.6573 0.2500 1
```